[1]
DFT (meta-GGA r2SCAN) results for an optimized crystal structure of TbMnB4.

Geometry as CIF:
```
data_TbMnB4
_space_group_name_H-M_alt 'P 1'
_space_group_IT_number 1
_cell_length_a 3.406
_cell_length_b 5.956
_cell_length_c 11.531
_cell_angle_alpha 90.00
_cell_angle_beta 90.00
_cell_angle_gamma 90.00
loop_
_space_group_symop_operation_xyz
'x,y,z'
loop_
_atom_site_label
_atom_site_fract_x
_atom_site_fract_y
_atom_site_fract_z
_atom_site_occupancy
Tb1 0.000 0.627 0.350 1
Tb2 0.000 0.373 0.650 1
Tb3 0.000 0.127 0.150 1
Tb4 0.000 0.873 0.850 1
Mn1 0.000 0.631 0.086 1
Mn2 0.000 0.369 0.914 1
Mn3 0.000 0.131 0.414 1
Mn4 0.000 0.869 0.586 1
B1 0.500 0.782 0.185 1
B2 0.500 0.218 0.815 1
B3 0.500 0.282 0.315 1
B4 0.500 0.718 0.685 1
B5 0.500 0.861 0.032 1
B6 0.500 0.139 0.968 1
B7 0.500 0.361 0.468 1
B8 0.500 0.639 0.532 1
B9 0.500 0.888 0.454 1
B10 0.500 0.112 0.546 1
B11 0.500 0.388 0.046 1
B12 0.500 0.612 0.954 1
B13 0.500 0.976 0.310 1
B14 0.500 0.024 0.690 1
B15 0.500 0.476 0.190 1
B16 0.500 0.524 0.810 1
```

DFT total energy (eV/cell): -317.32

=====

[2]
DFT (meta-GGA r2SCAN) results for an optimized crystal structure of YMnB4.

Geometry as CIF:
```
data_YMnB4
_space_group_name_H-M_alt 'P 1'
_space_group_IT_number 1
_cell_length_a 3.393
_cell_length_b 5.947
_cell_length_c 11.511
_cell_angle_alpha 90.00
_cell_angle_beta 90.00
_cell_angle_gamma 90.00
loop_
_space_group_symop_operation_xyz
'x,y,z'
loop_
_atom_site_label
_atom_site_fract_x
_atom_site_fract_y
_atom_site_fract_z
_atom_site_occupancy
Y1 0.000 0.627 0.350 1
Y2 0.000 0.373 0.650 1
Y3 0.000 0.127 0.150 1
Y4 0.000 0.873 0.850 1
Mn1 0.000 0.631 0.086 1
Mn2 0.000 0.369 0.914 1
Mn3 0.000 0.131 0.414 1
Mn4 0.000 0.869 0.586 1
B1 0.500 0.783 0.185 1
B2 0.500 0.217 0.815 1
B3 0.500 0.283 0.315 1
B4 0.500 0.717 0.685 1
B5 0.500 0.861 0.032 1
B6 0.500 0.139 0.968 1
B7 0.500 0.361 0.468 1
B8 0.500 0.639 0.532 1
B9 0.500 0.887 0.454 1
B10 0.500 0.113 0.546 1
B11 0.500 0.387 0.046 1
B12 0.500 0.613 0.954 1
B13 0.500 0.976 0.309 1
B14 0.500 0.024 0.691 1
B15 0.500 0.476 0.191 1
B16 0.500 0.524 0.809 1
```

DFT total energy (eV/cell): -273.66

=====

[3]
DFT (meta-GGA r2SCAN) results for an optimized crystal structure of B2Mo3.

Geometry as CIF:
```
data_B2Mo3
_space_group_name_H-M_alt 'P 1'
_space_group_IT_number 1
_cell_length_a 6.010
_cell_length_b 6.010
_cell_length_c 3.153
_cell_angle_alpha 90.00
_cell_angle_beta 90.00
_cell_angle_gamma 90.00
loop_
_space_group_symop_operation_xyz
'x,y,z'
loop_
_atom_site_label
_atom_site_fract_x
_atom_site_fract_y
_atom_site_fract_z
_atom_site_occupancy
B1 0.113 0.613 0.000 1
B2 0.887 0.387 0.000 1
B3 0.613 0.887 0.000 1
B4 0.387 0.113 0.000 1
Mo1 0.500 0.500 0.000 1
Mo2 0.000 0.000 0.000 1
Mo3 0.673 0.173 0.500 1
Mo4 0.327 0.827 0.500 1
Mo5 0.173 0.327 0.500 1
Mo6 0.827 0.673 0.500 1
```

DFT total energy (eV/cell): -189.78

=====

[4]
DFT (meta-GGA r2SCAN) results for an optimized crystal structure of B3Mo.

Geometry as CIF:
```
data_B3Mo
_space_group_name_H-M_alt 'P 1'
_space_group_IT_number 1
_cell_length_a 4.332
_cell_length_b 4.332
_cell_length_c 4.332
_cell_angle_alpha 73.86
_cell_angle_beta 73.86
_cell_angle_gamma 73.86
loop_
_space_group_symop_operation_xyz
'x,y,z'
loop_
_atom_site_label
_atom_site_fract_x
_atom_site_fract_y
_atom_site_fract_z
_atom_site_occupancy
B1 0.335 0.665 0.000 1
B2 0.000 0.335 0.665 1
B3 0.665 0.000 0.335 1
B4 0.000 0.665 0.335 1
B5 0.335 0.000 0.665 1
B6 0.665 0.335 0.000 1
Mo1 0.835 0.835 0.835 1
Mo2 0.165 0.165 0.165 1
```

DFT total energy (eV/cell): -98.89